## Na14Mg5Ti3Si6S6O48 (PBE)

Data for crystalline Na14Mg5Ti3Si6S6O48 at its relaxed geometry.

Summary:
M_tot = 0.00 μB per atom
Crystal system = triclinic
Energy of formation = -2.60 eV per atom

Cell: 18.0968 9.0221 22.1554 Å, 90.16 89.89 120.13°
Closest atoms and distances in Å follow each position.
Atoms (fractional coordinates):
Na 0.1927 0.3583 0.2471  5 O 2.38-2.66
Na 0.6871 0.3536 0.2460  5 O 2.43-2.64
Na 0.9970 0.6409 0.2538  3 O 2.34-2.53
Na 0.4953 0.6336 0.2445  5 O 2.39-2.62
Na 0.3171 0.6325 0.7492  4 O 2.30-2.56
Na 0.8163 0.6279 0.7394  5 O 2.31-2.58
Na 0.1891 0.0253 0.7469  5 O 2.39-2.67
Na 0.6914 0.0263 0.7469  3 O 2.35-2.46
Na 0.1522 0.3236 0.5786  5 O 2.45-2.60
Na 0.6646 0.3447 0.5781  5 O 2.42-2.67
Na 0.0120 0.7006 0.5809  6 O 2.46-2.70
Na 0.5204 0.7042 0.5828  3 O 2.25-2.51
Na 0.3244 0.9707 0.5900  6 O 2.45-2.68
Na 0.8231 0.9565 0.5891  4 O 2.36-2.61
Na 0.1558 0.9789 0.0788  6 O 2.46-2.75
Na 0.6487 0.9662 0.0753  5 O 2.43-2.59
Na 0.8225 0.6782 0.0883  3 O 2.36-2.58
Na 0.0194 0.3345 0.0813  4 O 2.28-2.56
Na 0.5218 0.3471 0.0871  4 O 2.39-2.50
Na 0.4911 0.6763 0.9214  3 O 2.34-2.51
Na 0.9910 0.6780 0.9169  5 O 2.38-2.64
Na 0.8470 0.0333 0.9086  5 O 2.36-2.62
Na 0.1639 0.2851 0.9089  5 O 2.38-2.52
Na 0.6642 0.2802 0.9166  6 O 2.40-2.60
Na 0.4922 0.3072 0.4177  3 O 2.34-2.60
Na 0.9885 0.3011 0.4204  5 O 2.35-2.59
Na 0.1650 0.0502 0.4165  6 O 2.41-2.58
Na 0.6665 0.0511 0.4157  6 O 2.42-2.58
Na 0.3496 0.6606 0.4080  5 O 2.36-2.58
Na 0.8482 0.6574 0.4180  5 O 2.35-2.60
Na 0.0044 0.9989 0.5013  6 O 2.50-2.73
Na 0.5126 0.0160 0.4979  3 O 2.35-2.55
Na 0.0075 0.0053 0.9970  5 O 2.37-2.64
Na 0.5006 0.9976 0.0001  6 O 2.46-2.65
Na 0.3331 0.3072 0.8295  2 O 2.28-2.51
Na 0.8289 0.3141 0.8266  3 O 2.30-2.42
Na 0.3258 0.3285 0.3260  4 O 2.37-2.56
Na 0.8217 0.3240 0.3285  3 O 2.38-2.47
Na 0.1838 0.6782 0.1638  4 O 2.43-2.64
Na 0.6642 0.6663 0.1621  6 O 2.44-2.67
Na 0.1619 0.6664 0.6659  6 O 2.45-2.67
Na 0.6718 0.6689 0.6621  5 O 2.37-2.63
Mg 0.0048 0.0037 0.3489  4 O 1.93-2.12
Mg 0.5056 0.0055 0.3470  4 O 1.92-2.07
Mg 0.0057 0.0091 0.8473  4 O 1.93-2.11
Mg 0.5029 0.0097 0.8516  3 O 1.91-2.07
Mg 0.3275 0.3145 0.6866  4 O 1.95-2.11
Mg 0.8251 0.3216 0.6836  5 O 1.97-2.17
Mg 0.3300 0.3396 0.1850  5 O 1.97-2.15
Mg 0.8239 0.3290 0.1858  4 O 1.94-2.12
Mg 0.8193 0.3103 0.9825  3 O 1.94-2.09
Mg 0.3213 0.3278 0.4823  3 O 1.95-2.08
Mg 0.8204 0.3413 0.4869  3 O 1.96-2.09
Mg 0.1719 0.6702 0.0162  5 O 1.96-2.14
Mg 0.6589 0.6618 0.0190  4 O 1.94-2.05
Mg 0.1639 0.6654 0.5165  4 O 1.94-2.10
Mg 0.6706 0.6650 0.5195  5 O 1.95-2.16
Ti 0.9997 0.0071 0.6496  4 O 1.89-1.99
Ti 0.5076 0.0237 0.6544  3 O 1.77-1.92
Ti 0.0065 0.9935 0.1539  2 O 1.79-1.86
Ti 0.5035 0.9723 0.1477  4 O 1.83-1.97
Ti 0.3239 0.3236 0.9867  4 O 1.83-1.98
Ti 0.1790 0.6730 0.3099  4 O 1.82-2.03
Ti 0.6774 0.6690 0.3082  4 O 1.84-2.06
Ti 0.1753 0.6861 0.8093  3 O 1.84-1.92
Ti 0.6737 0.6828 0.8092  3 O 1.83-1.92
Si 0.1528 0.9984 0.2549  4 O 1.59-1.76
Si 0.6502 0.9958 0.2537  4 O 1.60-1.72
Si 0.3590 0.7143 0.2532  4 O 1.60-1.71
Si 0.8580 0.7107 0.2523  4 O 1.59-1.70
Si 0.1472 0.3007 0.7519  4 O 1.60-1.68
Si 0.6492 0.3025 0.7568  4 O 1.59-1.73
Si 0.3603 0.0108 0.7519  4 O 1.57-1.75
Si 0.8598 0.0138 0.7541  4 O 1.59-1.75
Si 0.1834 0.0302 0.5832  4 O 1.62-1.69
Si 0.6813 0.0305 0.5834  4 O 1.61-1.74
Si 0.8365 0.6342 0.5849  4 O 1.61-1.69
Si 0.4761 0.6170 0.0850  4 O 1.59-1.70
Si 0.1829 0.3385 0.0871  4 O 1.58-1.72
Si 0.6826 0.3337 0.0838  4 O 1.62-1.70
Si 0.1668 0.9594 0.9199  4 O 1.61-1.70
Si 0.6653 0.9597 0.9175  4 O 1.60-1.72
Si 0.1648 0.3723 0.4181  4 O 1.61-1.73
Si 0.6636 0.3704 0.4172  4 O 1.61-1.72
S 0.9997 0.2914 0.2503  4 O 1.46-1.52
S 0.4988 0.2914 0.2516  4 O 1.46-1.54
S 0.0009 0.7067 0.7512  4 O 1.46-1.51
S 0.5003 0.7074 0.7501  4 O 1.47-1.52
S 0.4766 0.3314 0.5829  4 O 1.47-1.53
S 0.9785 0.3335 0.5829  4 O 1.46-1.52
S 0.3357 0.6297 0.5830  4 O 1.48-1.50
S 0.9792 0.6247 0.0835  4 O 1.48-1.53
S 0.3326 0.0429 0.0841  4 O 1.46-1.53
S 0.8378 0.0451 0.0829  4 O 1.47-1.51
S 0.3125 0.6669 0.9163  4 O 1.44-1.52
S 0.8138 0.6681 0.9173  4 O 1.47-1.51
S 0.0210 0.3784 0.9181  4 O 1.48-1.50
S 0.5196 0.3750 0.9166  4 O 1.48-1.50
S 0.3133 0.9592 0.4173  4 O 1.48-1.51
S 0.8134 0.9598 0.4160  4 O 1.48-1.51
S 0.0204 0.6634 0.4161  4 O 1.48-1.49
S 0.5199 0.6630 0.4183  4 O 1.48-1.50
O 0.1077 0.0338 0.3107  1 Si 1.60
O 0.6087 0.0334 0.3113  1 Si 1.60
O 0.4089 0.7977 0.3147  1 Si 1.60
O 0.9117 0.7995 0.3116  1 Si 1.59
O 0.4894 0.1942 0.3072  1 S 1.47
O 0.9868 0.1920 0.3052  1 S 1.46
O 0.1105 0.1803 0.8102  1 Si 1.60
O 0.6066 0.1743 0.8117  1 Si 1.59
O 0.4860 0.7801 0.8055  1 S 1.47
O 0.9879 0.7831 0.8064  1 S 1.48
O 0.4105 0.0052 0.8088  1 Si 1.57
O 0.9065 0.0137 0.8150  1 Si 1.59
O 0.4005 0.9677 0.6894  1 Si 1.70
O 0.9028 0.9704 0.6946  1 Si 1.67
O 0.0848 0.2002 0.6921  1 Si 1.68
O 0.5860 0.2039 0.6946  1 Si 1.73, 1 Ti 1.77
O 0.0165 0.8194 0.6974  1 S 1.50
O 0.5156 0.8229 0.6963  1 S 1.52
O 0.4064 0.8401 0.1944  1 Si 1.66
O 0.9053 0.8350 0.1911  1 Si 1.70, 1 Ti 1.86
O 0.0149 0.2076 0.1959  1 S 1.52
O 0.5143 0.2134 0.1974  1 S 1.49
O 0.0841 0.9648 0.1939  1 Si 1.76, 1 Ti 1.79
O 0.5847 0.9580 0.1927  1 Si 1.72, 1 Ti 1.83
O 0.4352 0.3583 0.6355  1 S 1.47
O 0.9376 0.3579 0.6356  1 S 1.46
O 0.2451 0.1140 0.6409  1 Si 1.62
O 0.7401 0.1099 0.6424  1 Si 1.61
O 0.3256 0.5268 0.6373  1 S 1.48
O 0.8235 0.5169 0.6431  1 Si 1.61
O 0.4366 0.4991 0.1431  1 Si 1.59
O 0.9392 0.5194 0.1377  1 S 1.48
O 0.3180 0.1204 0.1373  1 S 1.46
O 0.8278 0.1324 0.1357  1 S 1.47
O 0.2359 0.3543 0.1458  1 Si 1.58
O 0.7442 0.3734 0.1417  1 Si 1.62
O 0.2298 0.2977 0.0266  1 Si 1.72, 1 Ti 1.83
O 0.7186 0.2850 0.0236  1 Si 1.64
O 0.4136 0.5159 0.0239  1 Si 1.70, 1 Ti 1.87
O 0.9279 0.5455 0.0284  1 S 1.48
O 0.3437 0.1536 0.0290  1 S 1.53
O 0.8534 0.1497 0.0273  1 S 1.49
O 0.2200 0.1474 0.5224  1 Si 1.63
O 0.7162 0.1489 0.5230  1 Si 1.63
O 0.3493 0.5506 0.5283  1 S 1.49
O 0.8618 0.5675 0.5238  1 Si 1.64
O 0.4261 0.3035 0.5271  1 S 1.48
O 0.9291 0.3069 0.5264  1 S 1.49
O 0.2712 0.6857 0.9692  1 S 1.44
O 0.7728 0.6910 0.9713  1 S 1.47
O 0.0726 0.4541 0.9733  1 S 1.48
O 0.5706 0.4500 0.9722  1 S 1.48
O 0.1508 0.8422 0.9784  1 Si 1.61
O 0.6554 0.8449 0.9754  1 Si 1.60
O 0.2729 0.8557 0.4718  1 S 1.48
O 0.7736 0.8580 0.4708  1 S 1.48
O 0.1524 0.4630 0.4769  1 Si 1.61
O 0.6482 0.4592 0.4753  1 Si 1.61
O 0.0731 0.6911 0.4706  1 S 1.48
O 0.5729 0.6898 0.4725  1 S 1.48
O 0.0641 0.6468 0.3614  1 S 1.49
O 0.5605 0.6414 0.3632  1 S 1.49
O 0.2566 0.8741 0.3634  1 S 1.51
O 0.7567 0.8737 0.3622  1 S 1.51
O 0.1759 0.5052 0.3586  1 Si 1.73, 1 Ti 1.84
O 0.6751 0.5033 0.3577  1 Si 1.72, 1 Ti 1.84
O 0.0645 0.4859 0.8648  1 S 1.48
O 0.5638 0.4867 0.8639  1 S 1.49
O 0.1773 0.8556 0.8592  1 Si 1.70, 1 Ti 1.87
O 0.6751 0.8496 0.8576  1 Si 1.72, 1 Ti 1.83
O 0.2595 0.6403 0.8604  1 S 1.51
O 0.7595 0.6408 0.8623  1 S 1.51
O 0.0083 0.8146 0.4127  1 S 1.49
O 0.5074 0.8141 0.4148  1 S 1.49
O 0.3982 0.9750 0.4111  1 S 1.48
O 0.8986 0.9749 0.4096  1 S 1.48
O 0.0783 0.1839 0.4123  1 Si 1.64
O 0.5775 0.1810 0.4116  1 Si 1.64
O 0.0084 0.2020 0.9136  1 S 1.49
O 0.5096 0.2022 0.9114  1 S 1.48
O 0.0819 0.9803 0.9131  1 Si 1.65
O 0.5786 0.9736 0.9130  1 Si 1.64
O 0.4006 0.8133 0.9108  1 S 1.48
O 0.9003 0.8226 0.9121  1 S 1.49
O 0.4839 0.1707 0.5890  1 S 1.53
O 0.9872 0.1748 0.5879  1 S 1.52
O 0.0873 0.0141 0.5934  1 Si 1.69
O 0.5817 0.0131 0.5943  1 Si 1.74, 1 Ti 1.92
O 0.4126 0.8052 0.5870  1 S 1.50
O 0.9221 0.8331 0.5939  1 Si 1.69
O 0.4847 0.8117 0.0871  1 Si 1.68, 1 Ti 1.87
O 0.9853 0.7996 0.0883  1 S 1.53
O 0.4123 0.0350 0.0863  1 S 1.48
O 0.9152 0.0246 0.0883  1 S 1.51
O 0.0855 0.1524 0.0900  1 Si 1.72
O 0.5839 0.1608 0.0951  1 Si 1.70
O 0.3413 0.1652 0.7466  1 Si 1.60
O 0.8413 0.1679 0.7458  1 Si 1.60
O 0.2445 0.3385 0.7419  1 Si 1.63
O 0.7440 0.3321 0.7472  1 Si 1.61
O 0.4249 0.5388 0.7394  1 S 1.47
O 0.9268 0.5361 0.7432  1 S 1.46
O 0.3446 0.5230 0.2475  1 Si 1.62
O 0.8492 0.5242 0.2445  1 Si 1.62
O 0.4258 0.3179 0.2463  1 S 1.46
O 0.9277 0.3202 0.2404  1 S 1.47
O 0.2445 0.1604 0.2430  1 Si 1.59
O 0.7432 0.1595 0.2434  1 Si 1.60
O 0.3181 0.5043 0.9193  1 S 1.52
O 0.8245 0.5148 0.9210  1 S 1.49
O 0.4344 0.3647 0.9211  1 S 1.50
O 0.9356 0.3660 0.9233  1 S 1.50
O 0.2542 0.1560 0.9237  1 Si 1.68
O 0.7545 0.1458 0.9143  1 Si 1.65
O 0.3236 0.1330 0.4205  1 S 1.49
O 0.8244 0.1342 0.4195  1 S 1.49
O 0.2533 0.3637 0.4152  1 Si 1.64
O 0.7519 0.3612 0.4147  1 Si 1.64
O 0.4341 0.5034 0.4238  1 S 1.50
O 0.9363 0.5022 0.4196  1 S 1.49
O 0.1649 0.4942 0.0759  1 Si 1.61
O 0.6736 0.5048 0.0766  1 Si 1.64
O 0.0670 0.6535 0.0796  1 S 1.48
O 0.5733 0.6550 0.0782  1 Si 1.62
O 0.2562 0.8708 0.0760  1 S 1.48
O 0.7611 0.8721 0.0779  1 S 1.48
O 0.1694 0.8352 0.5772  1 Si 1.65
O 0.6639 0.8353 0.5763  1 Si 1.63
O 0.2576 0.6459 0.5782  1 S 1.49
O 0.7516 0.6546 0.5798  1 Si 1.64
O 0.0668 0.4843 0.5788  1 S 1.49
O 0.5640 0.4805 0.5788  1 S 1.48
O 0.1479 0.8094 0.2581  1 Si 1.66
O 0.6485 0.8097 0.2597  1 Si 1.67
O 0.2588 0.6896 0.2561  1 Si 1.71, 1 Ti 1.82
O 0.7591 0.6860 0.2544  1 Si 1.69, 1 Ti 1.84
O 0.0802 0.4647 0.2538  1 S 1.51
O 0.5796 0.4691 0.2560  1 S 1.54
O 0.1548 0.4930 0.7601  1 Si 1.68
O 0.6549 0.4913 0.7601  1 Si 1.66
O 0.0819 0.6978 0.7556  1 S 1.51
O 0.5800 0.6961 0.7537  1 S 1.50
O 0.2590 0.8269 0.7557  1 Si 1.75, 1 Ti 1.84
O 0.7594 0.8271 0.7571  1 Si 1.75, 1 Ti 1.85

## EuCuTeF (PBE)

Data for crystalline EuCuTeF at its relaxed geometry.

Summary:
M_tot = 1.75 μB per atom
Crystal system = tetragonal
Energy of formation = -1.96 eV per atom

Cell: 4.2238 4.2238 9.2109 Å, 90.00 90.00 90.00°
Closest atoms and distances in Å follow each position.
Atoms (fractional coordinates):
Eu 0.5000 0.0000 0.1529  4 F 2.54
Eu 0.0000 0.5000 0.8471  4 F 2.54
Cu 0.5000 0.5000 0.5000  4 Te 2.67, 4 Cu 2.99
Cu 0.0000 0.0000 0.5000  4 Te 2.67, 4 Cu 2.99
Te 0.0000 0.5000 0.3223  4 Cu 2.67
Te 0.5000 0.0000 0.6777  4 Cu 2.67
F 0.0000 0.0000 0.0000  4 Eu 2.54
F 0.5000 0.5000 0.0000  4 Eu 2.54

## Li9Ge4 (PBE)

Data for crystalline Li9Ge4 at its relaxed geometry.

Summary:
M_tot = 0.00 μB per atom
Crystal system = orthorhombic
Energy relative to the lowest polymorph listed for this composition = 0.0 meV per atom
Energy of formation = -0.35 eV per atom

Cell: 4.4640 4.4640 23.7395 Å, 90.00 90.00 120.02°
Closest atoms and distances in Å follow each position.
Atoms (fractional coordinates):
Li 0.8338 0.1662 0.2500  8 Li 2.81-3.12, 6 Ge 2.84-2.85
Li 0.1662 0.8338 0.7500  8 Li 2.81-3.12, 6 Ge 2.84-2.85
Li 0.1665 0.8335 0.5170  5 Li 2.61-2.72, 3 Ge 2.73
Li 0.8335 0.1665 0.4830  5 Li 2.61-2.72, 3 Ge 2.73
Li 0.8335 0.1665 0.0170  5 Li 2.61-2.72, 3 Ge 2.73
Li 0.1665 0.8335 0.9830  5 Li 2.61-2.72, 3 Ge 2.73
Li 0.1660 0.8340 0.6316  8 Li 2.72-2.81, 3 Ge 3.04
Li 0.8340 0.1660 0.3684  8 Li 2.72-2.81, 3 Ge 3.04
Li 0.8329 0.1671 0.5931  4 Ge 2.52-2.74, 4 Li 2.61-2.73
Li 0.1671 0.8329 0.4069  4 Ge 2.52-2.74, 4 Li 2.61-2.73
Li 0.1671 0.8329 0.0931  4 Ge 2.52-2.74, 4 Li 2.61-2.73
Li 0.8329 0.1671 0.9069  4 Ge 2.52-2.74, 4 Li 2.61-2.73
Li 0.4994 0.5006 0.8242  4 Ge 2.64-2.88, 3 Li 2.78
Li 0.5006 0.4994 0.1758  4 Ge 2.64-2.88, 3 Li 2.78
Li 0.5006 0.4994 0.3242  4 Ge 2.64-2.88, 3 Li 2.78
Li 0.4994 0.5006 0.6758  4 Ge 2.64-2.88, 3 Li 2.78
Li 0.1660 0.8340 0.8684  8 Li 2.72-2.81, 3 Ge 3.04
Li 0.8340 0.1660 0.1316  8 Li 2.72-2.81, 3 Ge 3.04
Ge 0.4997 0.5003 0.5545  1 Ge 2.59, 7 Li 2.73-2.88
Ge 0.5003 0.4997 0.4455  1 Ge 2.59, 7 Li 2.73-2.88
Ge 0.5003 0.4997 0.0545  1 Ge 2.59, 7 Li 2.73-2.88
Ge 0.4997 0.5003 0.9455  1 Ge 2.59, 7 Li 2.73-2.88
Ge 0.8328 0.1672 0.6992  1 Ge 2.41, 4 Li 2.52-2.64
Ge 0.1672 0.8328 0.3008  1 Ge 2.41, 4 Li 2.52-2.64
Ge 0.1672 0.8328 0.1992  1 Ge 2.41, 4 Li 2.52-2.64
Ge 0.8328 0.1672 0.8008  1 Ge 2.41, 4 Li 2.52-2.64

Copy entry 3 word for word.
## Li9Ge4 (PBE)

Data for crystalline Li9Ge4 at its relaxed geometry.

Summary:
M_tot = 0.00 μB per atom
Crystal system = orthorhombic
Energy relative to the lowest polymorph listed for this composition = 0.0 meV per atom
Energy of formation = -0.35 eV per atom

Cell: 4.4640 4.4640 23.7395 Å, 90.00 90.00 120.02°
Closest atoms and distances in Å follow each position.
Atoms (fractional coordinates):
Li 0.8338 0.1662 0.2500  8 Li 2.81-3.12, 6 Ge 2.84-2.85
Li 0.1662 0.8338 0.7500  8 Li 2.81-3.12, 6 Ge 2.84-2.85
Li 0.1665 0.8335 0.5170  5 Li 2.61-2.72, 3 Ge 2.73
Li 0.8335 0.1665 0.4830  5 Li 2.61-2.72, 3 Ge 2.73
Li 0.8335 0.1665 0.0170  5 Li 2.61-2.72, 3 Ge 2.73
Li 0.1665 0.8335 0.9830  5 Li 2.61-2.72, 3 Ge 2.73
Li 0.1660 0.8340 0.6316  8 Li 2.72-2.81, 3 Ge 3.04
Li 0.8340 0.1660 0.3684  8 Li 2.72-2.81, 3 Ge 3.04
Li 0.8329 0.1671 0.5931  4 Ge 2.52-2.74, 4 Li 2.61-2.73
Li 0.1671 0.8329 0.4069  4 Ge 2.52-2.74, 4 Li 2.61-2.73
Li 0.1671 0.8329 0.0931  4 Ge 2.52-2.74, 4 Li 2.61-2.73
Li 0.8329 0.1671 0.9069  4 Ge 2.52-2.74, 4 Li 2.61-2.73
Li 0.4994 0.5006 0.8242  4 Ge 2.64-2.88, 3 Li 2.78
Li 0.5006 0.4994 0.1758  4 Ge 2.64-2.88, 3 Li 2.78
Li 0.5006 0.4994 0.3242  4 Ge 2.64-2.88, 3 Li 2.78
Li 0.4994 0.5006 0.6758  4 Ge 2.64-2.88, 3 Li 2.78
Li 0.1660 0.8340 0.8684  8 Li 2.72-2.81, 3 Ge 3.04
Li 0.8340 0.1660 0.1316  8 Li 2.72-2.81, 3 Ge 3.04
Ge 0.4997 0.5003 0.5545  1 Ge 2.59, 7 Li 2.73-2.88
Ge 0.5003 0.4997 0.4455  1 Ge 2.59, 7 Li 2.73-2.88
Ge 0.5003 0.4997 0.0545  1 Ge 2.59, 7 Li 2.73-2.88
Ge 0.4997 0.5003 0.9455  1 Ge 2.59, 7 Li 2.73-2.88
Ge 0.8328 0.1672 0.6992  1 Ge 2.41, 4 Li 2.52-2.64
Ge 0.1672 0.8328 0.3008  1 Ge 2.41, 4 Li 2.52-2.64
Ge 0.1672 0.8328 0.1992  1 Ge 2.41, 4 Li 2.52-2.64
Ge 0.8328 0.1672 0.8008  1 Ge 2.41, 4 Li 2.52-2.64

Repeat the third record exactly.
## Li9Ge4 (PBE)

Data for crystalline Li9Ge4 at its relaxed geometry.

Summary:
M_tot = 0.00 μB per atom
Crystal system = orthorhombic
Energy relative to the lowest polymorph listed for this composition = 0.0 meV per atom
Energy of formation = -0.35 eV per atom

Cell: 4.4640 4.4640 23.7395 Å, 90.00 90.00 120.02°
Closest atoms and distances in Å follow each position.
Atoms (fractional coordinates):
Li 0.8338 0.1662 0.2500  8 Li 2.81-3.12, 6 Ge 2.84-2.85
Li 0.1662 0.8338 0.7500  8 Li 2.81-3.12, 6 Ge 2.84-2.85
Li 0.1665 0.8335 0.5170  5 Li 2.61-2.72, 3 Ge 2.73
Li 0.8335 0.1665 0.4830  5 Li 2.61-2.72, 3 Ge 2.73
Li 0.8335 0.1665 0.0170  5 Li 2.61-2.72, 3 Ge 2.73
Li 0.1665 0.8335 0.9830  5 Li 2.61-2.72, 3 Ge 2.73
Li 0.1660 0.8340 0.6316  8 Li 2.72-2.81, 3 Ge 3.04
Li 0.8340 0.1660 0.3684  8 Li 2.72-2.81, 3 Ge 3.04
Li 0.8329 0.1671 0.5931  4 Ge 2.52-2.74, 4 Li 2.61-2.73
Li 0.1671 0.8329 0.4069  4 Ge 2.52-2.74, 4 Li 2.61-2.73
Li 0.1671 0.8329 0.0931  4 Ge 2.52-2.74, 4 Li 2.61-2.73
Li 0.8329 0.1671 0.9069  4 Ge 2.52-2.74, 4 Li 2.61-2.73
Li 0.4994 0.5006 0.8242  4 Ge 2.64-2.88, 3 Li 2.78
Li 0.5006 0.4994 0.1758  4 Ge 2.64-2.88, 3 Li 2.78
Li 0.5006 0.4994 0.3242  4 Ge 2.64-2.88, 3 Li 2.78
Li 0.4994 0.5006 0.6758  4 Ge 2.64-2.88, 3 Li 2.78
Li 0.1660 0.8340 0.8684  8 Li 2.72-2.81, 3 Ge 3.04
Li 0.8340 0.1660 0.1316  8 Li 2.72-2.81, 3 Ge 3.04
Ge 0.4997 0.5003 0.5545  1 Ge 2.59, 7 Li 2.73-2.88
Ge 0.5003 0.4997 0.4455  1 Ge 2.59, 7 Li 2.73-2.88
Ge 0.5003 0.4997 0.0545  1 Ge 2.59, 7 Li 2.73-2.88
Ge 0.4997 0.5003 0.9455  1 Ge 2.59, 7 Li 2.73-2.88
Ge 0.8328 0.1672 0.6992  1 Ge 2.41, 4 Li 2.52-2.64
Ge 0.1672 0.8328 0.3008  1 Ge 2.41, 4 Li 2.52-2.64
Ge 0.1672 0.8328 0.1992  1 Ge 2.41, 4 Li 2.52-2.64
Ge 0.8328 0.1672 0.8008  1 Ge 2.41, 4 Li 2.52-2.64

> energy of formation of number 2 (EuCuTeF)?

-1.96 eV per atom